[1]
DyPd3: optimized geometry, r2SCAN.

```
data_DyPd3
_symmetry_space_group_name_H-M 'P m -3 m'
_symmetry_Int_Tables_number 221
_symmetry_space_group_name_Hall '-P 4 2 3'
_cell_length_a 4.0890
_cell_length_b 4.0890
_cell_length_c 4.0890
_cell_angle_alpha 90.00
_cell_angle_beta 90.00
_cell_angle_gamma 90.00
loop_
_atom_site_label
_atom_site_type_symbol
_atom_site_fract_x
_atom_site_fract_y
_atom_site_fract_z
Dy1 Dy 0.0000 0.0000 0.0000
Pd1 Pd 0.0000 0.5000 0.5000
```

- ΔH_f (0 K): -0.93 eV per atom

=====

[2]
CdNi2O4: optimized geometry, r2SCAN.

```
data_CdNi2O4
_symmetry_space_group_name_H-M 'I 41/a m d'
_symmetry_Int_Tables_number 141
_cell_length_a 5.7560
_cell_length_b 5.7560
_cell_length_c 9.2347
_cell_angle_alpha 90.00
_cell_angle_beta 90.00
_cell_angle_gamma 90.00
loop_
_symmetry_equiv_pos_as_xyz
'x,y,z'
'-x,-y,-z'
'-y+1/4,x+3/4,z+1/4'
'y+1/4,-x+3/4,-z+1/4'
'-x+1/2,-y,z+1/2'
'x+1/2,y,-z+1/2'
'y+1/4,-x+1/4,z+3/4'
'-y+1/4,x+1/4,-z+3/4'
'x,-y,-z'
'-x,y,z'
'-y+1/4,-x+1/4,-z+3/4'
'y+1/4,x+1/4,z+3/4'
'-x+1/2,y,-z+1/2'
'x+1/2,-y,z+1/2'
'y+1/4,x+3/4,-z+1/4'
'-y+1/4,-x+3/4,z+1/4'
'x+1/2,y+1/2,z+1/2'
'-x+1/2,-y+1/2,-z+1/2'
'-y+3/4,x+1/4,z+3/4'
'y+3/4,-x+1/4,-z+3/4'
'-x,-y+1/2,z'
'x,y+1/2,-z'
'y+3/4,-x+3/4,z+1/4'
'-y+3/4,x+3/4,-z+1/4'
'x+1/2,-y+1/2,-z+1/2'
'-x+1/2,y+1/2,z+1/2'
'-y+3/4,-x+3/4,-z+1/4'
'y+3/4,x+3/4,z+1/4'
'-x,y+1/2,-z'
'x,-y+1/2,z'
'y+3/4,x+1/4,-z+3/4'
'-y+3/4,-x+1/4,z+3/4'
loop_
_atom_site_label
_atom_site_type_symbol
_atom_site_fract_x
_atom_site_fract_y
_atom_site_fract_z
Cd1 Cd 0.0000 0.2500 0.3750
Ni1 Ni 0.0000 0.0000 0.0000
O1 O 0.0000 0.0363 0.7729
```

- ΔH_f (0 K): -1.12 eV per atom

=====

[3]
TaPt2: optimized geometry, r2SCAN.

```
data_TaPt2
_symmetry_space_group_name_H-M 'C m c m'
_symmetry_Int_Tables_number 63
_symmetry_space_group_name_Hall '-C 2c 2'
_cell_length_a 8.4393
_cell_length_b 4.8164
_cell_length_c 4.7696
_cell_angle_alpha 90.00
_cell_angle_beta 90.00
_cell_angle_gamma 90.00
loop_
_atom_site_label
_atom_site_type_symbol
_atom_site_fract_x
_atom_site_fract_y
_atom_site_fract_z
Ta1 Ta 0.0000 0.2309 0.2500
Pt1 Pt 0.1622 0.2819 0.7500
```

- ΔH_f (0 K): -0.82 eV per atom